Record 1
Computed, not measured: SbSI after structural relaxation at the GGA-PBE level of DFT.

```
data_SbSI
_cell_length_a 10.854
_cell_length_b 4.133
_cell_length_c 9.566
_cell_angle_alpha 90.00
_cell_angle_beta 90.00
_cell_angle_gamma 90.00
_symmetry_space_group_name_H-M 'P n m a'
_symmetry_Int_Tables_number 62
loop_
_symmetry_equiv_pos_as_xyz
'x,y,z'
'-x,-y,-z'
'-x+1/2,-y,z+1/2'
'x+1/2,y,-z+1/2'
'x+1/2,-y+1/2,-z+1/2'
'-x+1/2,y+1/2,z+1/2'
'-x,y+1/2,-z'
'x,-y+1/2,z'
loop_
_atom_site_label
_atom_site_fract_x
_atom_site_fract_y
_atom_site_fract_z
Sb1 0.129 0.250 0.080
S1 0.022 0.250 0.848
I1 0.185 0.250 0.453
```


Record 2
Computed, not measured: KNaSO4 after structural relaxation at the GGA-PBE level of DFT.

```
data_KNaSO4
_cell_length_a 5.6961
_cell_length_b 5.6961
_cell_length_c 7.2846
_cell_angle_alpha 90.00
_cell_angle_beta 90.00
_cell_angle_gamma 120.00
_symmetry_space_group_name_H-M 'P 3 m 1'
_symmetry_Int_Tables_number 156
loop_
_symmetry_equiv_pos_as_xyz
'x,y,z'
'-y,x-y,z'
'-x+y,-x,z'
'-y,-x,z'
'-x+y,y,z'
'x,x-y,z'
loop_
_atom_site_label
_atom_site_fract_x
_atom_site_fract_y
_atom_site_fract_z
K1 0.0000 0.0000 0.0000
K2 0.3333 0.6667 0.3248
Na1 0.0000 0.0000 0.5000
Na2 0.6667 0.3333 0.7000
S1 0.3333 0.6667 0.7683
S2 0.6667 0.3333 0.2298
O1 0.1907 0.3814 0.6958
O2 0.3333 0.6667 0.9700
O3 0.3819 0.1909 0.3017
O4 0.6667 0.3333 0.0266
```

Excess energy over the best structure of this formula in the dataset in eV/atom: 0.000


Record 3
Computed, not measured: TiN3F6 after structural relaxation at the GGA-PBE level of DFT.

```
data_TiN3F6
_cell_length_a 7.966
_cell_length_b 7.966
_cell_length_c 7.966
_cell_angle_alpha 90.00
_cell_angle_beta 90.00
_cell_angle_gamma 90.00
_symmetry_space_group_name_H-M 'F m -3 m'
_symmetry_Int_Tables_number 225
_symmetry_space_group_name_Hall '-F 4 2 3'
loop_
_atom_site_label
_atom_site_fract_x
_atom_site_fract_y
_atom_site_fract_z
Ti1 0.000 0.000 0.000
N1 0.000 0.000 0.500
N2 0.250 0.250 0.250
F1 0.000 0.000 0.239
```


Record 4
Computed, not measured: Nd4Mg2Ti3Si4O22 after structural relaxation at the GGA-PBE level of DFT.

```
data_Nd4Mg2Ti3Si4O22
_cell_length_a 10.975
_cell_length_b 5.839
_cell_length_c 13.517
_cell_angle_alpha 90.00
_cell_angle_beta 101.30
_cell_angle_gamma 90.00
_symmetry_space_group_name_H-M 'P 1 21/c 1'
_symmetry_Int_Tables_number 14
loop_
_symmetry_equiv_pos_as_xyz
'x,y,z'
'-x,-y,-z'
'-x,y+1/2,-z+1/2'
'x,-y+1/2,z+1/2'
loop_
_atom_site_label
_atom_site_fract_x
_atom_site_fract_y
_atom_site_fract_z
Nd1 0.234 0.023 0.358
Nd2 0.244 0.545 0.567
Mg1 0.000 0.000 0.500
Mg2 0.500 0.000 0.000
Ti1 0.498 0.226 0.229
Ti2 0.500 0.000 0.500
Si1 0.046 0.001 0.862
Si2 0.227 0.002 0.703
O1 0.096 0.749 0.409
O2 0.097 0.199 0.949
O3 0.101 0.514 0.683
O4 0.129 0.067 0.775
O5 0.163 0.567 0.090
O6 0.312 0.236 0.708
O7 0.316 0.718 0.249
O8 0.371 0.730 0.971
O9 0.374 0.240 0.479
O10 0.472 0.521 0.647
O11 0.492 0.017 0.342
```


Record 5
Computed, not measured: DyBiPd after structural relaxation at the GGA-PBE level of DFT.

```
data_DyBiPd
_cell_length_a 6.729
_cell_length_b 6.729
_cell_length_c 6.729
_cell_angle_alpha 90.00
_cell_angle_beta 90.00
_cell_angle_gamma 90.00
_symmetry_space_group_name_H-M 'F -4 3 m'
_symmetry_Int_Tables_number 216
_symmetry_space_group_name_Hall 'F -4 2 3'
loop_
_atom_site_label
_atom_site_fract_x
_atom_site_fract_y
_atom_site_fract_z
Dy1 0.000 0.000 0.000
Bi1 0.000 0.000 0.500
Pd1 0.250 0.250 0.250
```


Record 6
Computed, not measured: Na4Ti6O13 after structural relaxation at the GGA-PBE level of DFT.

```
data_Na4Ti6O13
_cell_length_a 14.336
_cell_length_b 3.976
_cell_length_c 9.340
_cell_angle_alpha 90.00
_cell_angle_beta 92.93
_cell_angle_gamma 90.00
_symmetry_space_group_name_H-M 'C 1 2/m 1'
_symmetry_Int_Tables_number 12
loop_
_symmetry_equiv_pos_as_xyz
'x,y,z'
'-x,-y,-z'
'-x,y,-z'
'x,-y,z'
'x+1/2,y+1/2,z'
'-x+1/2,-y+1/2,-z'
'-x+1/2,y+1/2,-z'
'x+1/2,-y+1/2,z'
loop_
_atom_site_label
_atom_site_fract_x
_atom_site_fract_y
_atom_site_fract_z
Na1 0.012 0.000 0.149
Na2 0.099 0.000 0.400
Ti1 0.112 0.500 0.629
Ti2 0.172 0.500 0.958
Ti3 0.244 0.500 0.281
O1 0.000 0.500 0.500
O2 0.068 0.500 0.827
O3 0.118 0.000 0.644
O4 0.129 0.500 0.138
O5 0.181 0.500 0.440
O6 0.192 0.000 0.941
O7 0.243 0.500 0.746
```


Record 7
Computed, not measured: OF3 after structural relaxation at the GGA-PBE level of DFT.

```
data_OF3
_cell_length_a 2.934
_cell_length_b 6.308
_cell_length_c 6.354
_cell_angle_alpha 60.82
_cell_angle_beta 89.06
_cell_angle_gamma 89.18
_symmetry_space_group_name_H-M 'P 1'
_symmetry_Int_Tables_number 1
loop_
_symmetry_equiv_pos_as_xyz
'x,y,z'
loop_
_atom_site_label
_atom_site_fract_x
_atom_site_fract_y
_atom_site_fract_z
O1 0.000 0.000 0.000
O2 0.066 0.779 0.577
F1 0.240 0.792 0.063
F2 0.306 0.261 0.700
F3 0.393 0.265 0.002
F4 0.686 0.632 0.423
F5 0.855 0.660 0.807
F6 0.930 0.028 0.474
```

Maximum piezoelectric response in C/m2: 1.15


Record 8
Computed, not measured: K2PdBr4 after structural relaxation at the GGA-PBE level of DFT.

```
data_K2PdBr4
_cell_length_a 7.541
_cell_length_b 7.541
_cell_length_c 4.452
_cell_angle_alpha 90.00
_cell_angle_beta 90.00
_cell_angle_gamma 90.00
_symmetry_space_group_name_H-M 'P 4/m m m'
_symmetry_Int_Tables_number 123
_symmetry_space_group_name_Hall '-P 4 2'
loop_
_atom_site_label
_atom_site_fract_x
_atom_site_fract_y
_atom_site_fract_z
K1 0.000 0.500 0.000
Pd1 0.000 0.000 0.500
Br1 0.232 0.232 0.500
```


Number 1: formation energy from the elements -0.604 eV/atom. Number 2: formation energy from the elements -2.230 eV/atom. Number 3: formation energy from the elements -0.373 eV/atom. Number 4: formation energy from the elements -3.508 eV/atom. Number 5: formation energy from the elements -0.940 eV/atom. Number 6: formation energy from the elements -3.009 eV/atom. Number 7: formation energy from the elements -0.157 eV/atom. Number 8: formation energy from the elements -1.489 eV/atom.